No. 1
Compound: CeSiI
Source: the Materials Project
Functional: GGA-PBE
Structure: relaxed

Cell and atoms, written as extended XYZ:
```
6
Lattice="4.1537 0.0000 0.0000 -2.0769 3.5972 0.0000 0.0000 0.0000 12.0916" Properties=species:S:1:pos:R:3 pbc="T T T"
Ce 0.0000 0.0000 1.9281
Ce 0.0000 0.0000 10.1635
Si 0.0000 2.3982 12.0448
Si 2.0769 1.1991 0.0468
I 0.0000 2.3982 4.0975
I 2.0769 1.1991 7.9941
```

Output
symmetry = No. 164
E_form = -339 kJ/mol of formula units
mass density = 5.425 g cm⁻³
MP2020-corrected energy = -5.464 eV/atom
total energy = -32.03 eV for the cell shown


No. 2
Compound: CeSmI4
Source: the Materials Project
Functional: GGA-PBE
Structure: relaxed

Cell and atoms, written as extended XYZ:
```
12
Lattice="5.0597 -7.2635 0.0000 5.0597 7.2635 0.0000 -4.7200 0.0000 5.9951" Properties=species:S:1:pos:R:3 pbc="T T T"
Ce 1.5197 7.1891 4.4964
Ce 3.8797 -7.1891 1.4988
Sm 1.5197 1.9330 4.4964
Sm 3.8797 -1.9330 1.4988
I 1.8458 4.5919 2.4490
I 2.0245 0.8673 1.4881
I 5.9135 4.5919 0.5485
I -0.3355 -0.8673 4.4856
I 5.7349 0.8673 1.5095
I -0.5141 -4.5919 5.4466
I 3.3749 -0.8673 4.5071
I 3.5535 -4.5919 3.5461
```

Output
symmetry = No. 15
E_form = -819 kJ/mol of formula units
mass density = 6.015 g cm⁻³
MP2020-corrected energy = -4.207 eV/atom
total energy = -47.45 eV for the cell shown


No. 3
Compound: SrCeI4
Source: the Materials Project
Functional: GGA-PBE
Structure: relaxed

Cell and atoms, written as extended XYZ:
```
12
Lattice="5.1552 -7.4924 0.0000 5.1552 7.4924 0.0000 -4.2450 0.0000 6.1782" Properties=species:S:1:pos:R:3 pbc="T T T"
Sr 1.9714 5.4688 4.6336
Sr 4.0939 -5.4688 1.5445
Ce 4.0939 0.0014 1.5445
Ce 1.9714 -0.0014 4.6336
I -1.2258 0.9363 4.7320
I 2.1546 2.6431 2.5364
I 0.8967 -0.9363 1.6429
I 6.0333 2.6431 0.5527
I 0.0321 -2.6431 5.6255
I 5.1687 0.9363 4.5353
I 3.9108 -2.6431 3.6418
I 7.2912 -0.9363 1.4462
```

Output
symmetry = No. 15
E_form = -1001 kJ/mol of formula units
mass density = 5.117 g cm⁻³
MP2020-corrected energy = -4.016 eV/atom
total energy = -45.16 eV for the cell shown


No. 4
Compound: CeIn3
Source: the Materials Project
Functional: GGA-PBE
Structure: relaxed

Cell and atoms, written as extended XYZ:
```
4
Lattice="4.7076 0.0000 0.0000 0.0000 4.7076 0.0000 0.0000 0.0000 4.7076" Properties=species:S:1:pos:R:3 pbc="T T T"
Ce 0.0000 0.0000 0.0000
In 0.0000 2.3538 2.3538
In 2.3538 0.0000 2.3538
In 2.3538 2.3538 0.0000
```

Output
symmetry = No. 221
E_form = -156 kJ/mol of formula units
mass density = 7.713 g cm⁻³
total energy = -15.80 eV for the cell shown


No. 5
Compound: Ce3In
Source: the Materials Project
Functional: GGA-PBE
Structure: relaxed

Cell and atoms, written as extended XYZ:
```
4
Lattice="4.8150 0.0000 0.0000 0.0000 4.8150 0.0000 0.0000 0.0000 4.8150" Properties=species:S:1:pos:R:3 pbc="T T T"
Ce 0.0000 0.0000 2.4075
Ce 0.0000 2.4075 0.0000
Ce 2.4075 0.0000 0.0000
In 2.4075 2.4075 2.4075
```

Output
symmetry = No. 221
E_form = -79 kJ/mol of formula units
mass density = 7.961 g cm⁻³
total energy = -21.37 eV for the cell shown


No. 6
Compound: CeIn5Ir
Source: the Materials Project
Functional: GGA-PBE
Structure: relaxed

Cell and atoms, written as extended XYZ:
```
7
Lattice="4.7242 0.0000 0.0000 0.0000 4.7242 0.0000 0.0000 0.0000 7.5758" Properties=species:S:1:pos:R:3 pbc="T T T"
Ce 0.0000 0.0000 0.0000
In 0.0000 2.3621 2.2941
In 0.0000 2.3621 5.2817
In 2.3621 0.0000 2.2941
In 2.3621 0.0000 5.2817
In 2.3621 2.3621 0.0000
Ir 0.0000 0.0000 3.7879
```

Output
symmetry = No. 123
E_form = -258 kJ/mol of formula units
mass density = 8.902 g cm⁻³
total energy = -31.21 eV for the cell shown


Which value of mass density does entry 4 give?
7.713 g cm⁻³


The highest E_form belongs to which entry?
Ce3In